Density functional theory data (PBE) for a relaxed structure of CaAcHg2.

Summary:
Space-group type: Fm-3m, No. 225
ΔH_f (0 K): -214 kJ/mol of formula units
Uncorrected energy: -9.0 eV for the cell shown

Cell and atoms, written as POSCAR:
```
CaAcHg2
1.0
-4.215 0.924 3.538
-5.216 -1.338 -1.464
-2.572 -4.298 2.459
Hg Ca Ac
2 1 1
direct
0.750 0.750 0.750
0.250 0.250 0.250
0.000 0.000 0.000
0.500 0.500 0.500
```